Record 1
V4GaSe8 | PBE-GGA | optimized geometry

Structure (CIF):
```
data_V4GaSe8
_cell_length_a 10.242
_cell_length_b 10.242
_cell_length_c 10.242
_cell_angle_alpha 90.00
_cell_angle_beta 90.00
_cell_angle_gamma 90.00
_space_group_name_H-M_alt 'F -4 3 m'
_space_group_IT_number 216
_space_group_name_Hall 'F -4 2 3'
loop_
_atom_site_label
_atom_site_type_symbol
_atom_site_fract_x
_atom_site_fract_y
_atom_site_fract_z
V1 V 0.104 0.104 0.396
Ga1 Ga 0.000 0.000 0.000
Se1 Se 0.131 0.131 0.631
Se2 Se 0.138 0.138 0.138
```

The value obtained for the total energy is -5.911 eV per atom. The formation energy is -1.022 eV per atom. Its volume is 269 Å³/f.u.

***

Record 2
ZnGa2Se4 | PBE-GGA | optimized geometry

Structure (CIF):
```
data_ZnGa2Se4
_cell_length_a 5.637
_cell_length_b 5.637
_cell_length_c 11.072
_cell_angle_alpha 90.00
_cell_angle_beta 90.00
_cell_angle_gamma 90.00
_space_group_name_H-M_alt 'I -4'
_space_group_IT_number 82
_space_group_name_Hall 'I -4'
loop_
_atom_site_label
_atom_site_type_symbol
_atom_site_fract_x
_atom_site_fract_y
_atom_site_fract_z
Zn1 Zn 0.000 0.000 0.000
Ga1 Ga 0.000 0.000 0.500
Ga2 Ga 0.000 0.500 0.750
Se1 Se 0.235 0.258 0.367
```

The value obtained for the total energy is -3.688 eV per atom. The piezoelectric modulus e_max is 0.1 C/m². The formation energy is -0.915 eV per atom. Its volume is 176 Å³/f.u.

***

Record 3
Ga3Si | PBE-GGA | optimized geometry

Structure (CIF):
```
data_Ga3Si
_cell_length_a 6.0077
_cell_length_b 6.0077
_cell_length_c 4.6715
_cell_angle_alpha 90.00
_cell_angle_beta 90.00
_cell_angle_gamma 120.00
_space_group_name_H-M_alt 'P 63/m m c'
_space_group_IT_number 194
_space_group_name_Hall '-P 6c 2c'
loop_
_atom_site_label
_atom_site_type_symbol
_atom_site_fract_x
_atom_site_fract_y
_atom_site_fract_z
Ga1 Ga 0.1685 0.3369 0.2500
Si1 Si 0.3333 0.6667 0.7500
```

The value obtained for the total energy is -3.421 eV per atom. The formation energy is 0.224 eV per atom. Its volume is 73 Å³/f.u.

***

Record 4
Ga3Si | PBE-GGA | optimized geometry

Structure (CIF):
```
data_Ga3Si
_cell_length_a 4.133
_cell_length_b 4.133
_cell_length_c 4.133
_cell_angle_alpha 90.00
_cell_angle_beta 90.00
_cell_angle_gamma 90.00
_space_group_name_H-M_alt 'P m -3 m'
_space_group_IT_number 221
_space_group_name_Hall '-P 4 2 3'
loop_
_atom_site_label
_atom_site_type_symbol
_atom_site_fract_x
_atom_site_fract_y
_atom_site_fract_z
Ga1 Ga 0.000 0.000 0.500
Si1 Si 0.500 0.500 0.500
```

The value obtained for the total energy is -3.423 eV per atom. The formation energy is 0.223 eV per atom. Its volume is 71 Å³/f.u.

***

Record 5
Ga3Si | PBE-GGA | optimized geometry

Structure (CIF):
```
data_Ga3Si
_cell_length_a 6.618
_cell_length_b 6.618
_cell_length_c 6.618
_cell_angle_alpha 90.00
_cell_angle_beta 90.00
_cell_angle_gamma 90.00
_space_group_name_H-M_alt 'F m -3 m'
_space_group_IT_number 225
_space_group_name_Hall '-F 4 2 3'
loop_
_atom_site_label
_atom_site_type_symbol
_atom_site_fract_x
_atom_site_fract_y
_atom_site_fract_z
Ga1 Ga 0.000 0.000 0.000
Ga2 Ga 0.250 0.250 0.250
Si1 Si 0.000 0.000 0.500
```

The value obtained for the total energy is -3.435 eV per atom. The formation energy is 0.210 eV per atom. Its volume is 72 Å³/f.u.

***

Record 6
Sr4GaSi3 | PBE-GGA | optimized geometry

Structure (CIF):
```
data_Sr4GaSi3
_cell_length_a 4.173
_cell_length_b 4.791
_cell_length_c 11.545
_cell_angle_alpha 90.00
_cell_angle_beta 90.00
_cell_angle_gamma 90.00
_space_group_name_H-M_alt 'P m m 2'
_space_group_IT_number 25
_space_group_name_Hall 'P 2 -2'
loop_
_atom_site_label
_atom_site_type_symbol
_atom_site_fract_x
_atom_site_fract_y
_atom_site_fract_z
Sr1 Sr 0.000 0.000 0.000
Sr2 Sr 0.000 0.500 0.492
Sr3 Sr 0.500 0.000 0.272
Sr4 Sr 0.500 0.500 0.775
Ga1 Ga 0.000 0.000 0.698
Si1 Si 0.000 0.500 0.196
Si2 Si 0.500 0.000 0.568
Si3 Si 0.500 0.500 0.073
```

The value obtained for the total energy is -3.716 eV per atom. The formation energy is -0.432 eV per atom. Its volume is 231 Å³/f.u.

***

Record 7
Sr2GaSi | PBE-GGA | optimized geometry

Structure (CIF):
```
data_Sr2GaSi
_cell_length_a 4.260
_cell_length_b 4.722
_cell_length_c 11.823
_cell_angle_alpha 90.00
_cell_angle_beta 90.00
_cell_angle_gamma 90.00
_space_group_name_H-M_alt 'A m m 2'
_space_group_IT_number 38
_space_group_name_Hall 'A 2 -2'
loop_
_atom_site_label
_atom_site_type_symbol
_atom_site_fract_x
_atom_site_fract_y
_atom_site_fract_z
Sr1 Sr 0.000 0.000 0.000
Sr2 Sr 0.500 0.000 0.280
Ga1 Ga 0.500 0.000 0.579
Si1 Si 0.000 0.000 0.705
```

The value obtained for the total energy is -3.410 eV per atom. The formation energy is -0.434 eV per atom. Its volume is 119 Å³/f.u.

***

Record 8
V6GaSi | PBE-GGA | optimized geometry

Structure (CIF):
```
data_V6GaSi
_cell_length_a 4.747
_cell_length_b 4.747
_cell_length_c 4.747
_cell_angle_alpha 90.00
_cell_angle_beta 90.00
_cell_angle_gamma 90.00
_space_group_name_H-M_alt 'P m -3'
_space_group_IT_number 200
_space_group_name_Hall '-P 2 2 3'
loop_
_atom_site_label
_atom_site_type_symbol
_atom_site_fract_x
_atom_site_fract_y
_atom_site_fract_z
V1 V 0.000 0.255 0.500
Ga1 Ga 0.000 0.000 0.000
Si1 Si 0.500 0.500 0.500
```

The value obtained for the total energy is -8.187 eV per atom. The formation energy is -0.308 eV per atom. Its volume is 107 Å³/f.u.

***

Record 9
SmGa2 | PBE-GGA | optimized geometry

Structure (CIF):
```
data_SmGa2
_cell_length_a 4.2573
_cell_length_b 4.2573
_cell_length_c 4.2324
_cell_angle_alpha 90.00
_cell_angle_beta 90.00
_cell_angle_gamma 120.00
_space_group_name_H-M_alt 'P 6/m m m'
_space_group_IT_number 191
_space_group_name_Hall '-P 6 2'
loop_
_atom_site_label
_atom_site_type_symbol
_atom_site_fract_x
_atom_site_fract_y
_atom_site_fract_z
Sm1 Sm 0.0000 0.0000 0.0000
Ga1 Ga 0.3333 0.6667 0.5000
```

The value obtained for the total energy is -4.276 eV per atom. The formation energy is -0.685 eV per atom. Its volume is 66 Å³/f.u.

***

Record 10
Sm9Ga4 | PBE-GGA | optimized geometry

Structure (CIF):
```
data_Sm9Ga4
_cell_length_a 11.940
_cell_length_b 11.940
_cell_length_c 5.128
_cell_angle_alpha 90.00
_cell_angle_beta 90.00
_cell_angle_gamma 90.00
_space_group_name_H-M_alt 'I 4/m'
_space_group_IT_number 87
_space_group_name_Hall '-I 4'
loop_
_atom_site_label
_atom_site_type_symbol
_atom_site_fract_x
_atom_site_fract_y
_atom_site_fract_z
Sm1 Sm 0.000 0.000 0.000
Sm2 Sm 0.095 0.376 0.000
Sm3 Sm 0.110 0.185 0.500
Ga1 Ga 0.113 0.768 0.000
```

The value obtained for the total energy is -4.578 eV per atom. The formation energy is -0.379 eV per atom. Its volume is 365 Å³/f.u.

***

Record 11
SmGa3 | PBE-GGA | optimized geometry

Structure (CIF):
```
data_SmGa3
_cell_length_a 6.3823
_cell_length_b 6.3823
_cell_length_c 4.5984
_cell_angle_alpha 90.00
_cell_angle_beta 90.00
_cell_angle_gamma 120.00
_space_group_name_H-M_alt 'P 63/m m c'
_space_group_IT_number 194
_space_group_name_Hall '-P 6c 2c'
loop_
_atom_site_label
_atom_site_type_symbol
_atom_site_fract_x
_atom_site_fract_y
_atom_site_fract_z
Sm1 Sm 0.3333 0.6667 0.2500
Ga1 Ga 0.1454 0.2907 0.7500
```

The value obtained for the total energy is -4.015 eV per atom. The formation energy is -0.564 eV per atom. Its volume is 81 Å³/f.u.

***

Record 12
SmZnGa | PBE-GGA | optimized geometry

Structure (CIF):
```
data_SmZnGa
_cell_length_a 4.4686
_cell_length_b 4.4686
_cell_length_c 7.5043
_cell_angle_alpha 90.00
_cell_angle_beta 90.00
_cell_angle_gamma 120.00
_space_group_name_H-M_alt 'P 63/m m c'
_space_group_IT_number 194
_space_group_name_Hall '-P 6c 2c'
loop_
_atom_site_label
_atom_site_type_symbol
_atom_site_fract_x
_atom_site_fract_y
_atom_site_fract_z
Sm1 Sm 0.0000 0.0000 0.0000
Zn1 Zn 0.3333 0.6667 0.2500
Ga1 Ga 0.3333 0.6667 0.7500
```

The value obtained for the total energy is -3.565 eV per atom. The formation energy is -0.563 eV per atom. Its volume is 65 Å³/f.u.